{
  "formula": "Li2Cr2S3O12",
  "functional": "PBE with a Hubbard U",
  "state": "relaxed",
  "cell": [[8.844, 0.000, 0.000], [0.000, 8.871, 0.000], [0.000, 0.000, 24.605]],
  "species": ["Li", "Li", "Li", "Li", "Li", "Li", "Li", "Li", "Li", "Li", "Li", "Li", "Li", "Li", "Li", "Li", "Cr", "Cr", "Cr", "Cr", "Cr", "Cr", "Cr", "Cr", "Cr", "Cr", "Cr", "Cr", "Cr", "Cr", "Cr", "Cr", "S", "S", "S", "S", "S", "S", "S", "S", "S", "S", "S", "S", "S", "S", "S", "S", "S", "S", "S", "S", "S", "S", "S", "S", "O", "O", "O", "O", "O", "O", "O", "O", "O", "O", "O", "O", "O", "O", "O", "O", "O", "O", "O", "O", "O", "O", "O", "O", "O", "O", "O", "O", "O", "O", "O", "O", "O", "O", "O", "O", "O", "O", "O", "O", "O", "O", "O", "O", "O", "O", "O", "O", "O", "O", "O", "O", "O", "O", "O", "O", "O", "O", "O", "O", "O", "O", "O", "O", "O", "O", "O", "O", "O", "O", "O", "O", "O", "O", "O", "O", "O", "O", "O", "O", "O", "O", "O", "O", "O", "O", "O", "O", "O", "O", "O", "O", "O", "O", "O", "O"],
  "fractional_positions": [[0.038, 0.122, 0.209], [0.038, 0.378, 0.709], [0.142, 0.068, 0.991], [0.142, 0.432, 0.491], [0.358, 0.568, 0.991], [0.358, 0.932, 0.491], [0.462, 0.622, 0.209], [0.462, 0.878, 0.709], [0.538, 0.122, 0.291], [0.538, 0.378, 0.791], [0.642, 0.068, 0.509], [0.642, 0.432, 0.009], [0.858, 0.568, 0.509], [0.858, 0.932, 0.009], [0.962, 0.622, 0.291], [0.962, 0.878, 0.791], [0.003, 0.705, 0.680], [0.003, 0.795, 0.180], [0.007, 0.597, 0.934], [0.007, 0.903, 0.434], [0.493, 0.097, 0.934], [0.493, 0.403, 0.434], [0.497, 0.205, 0.680], [0.497, 0.295, 0.180], [0.503, 0.705, 0.820], [0.503, 0.795, 0.320], [0.507, 0.597, 0.566], [0.507, 0.903, 0.066], [0.993, 0.097, 0.566], [0.993, 0.403, 0.066], [0.997, 0.205, 0.820], [0.997, 0.295, 0.320], [0.144, 0.054, 0.704], [0.144, 0.446, 0.204], [0.146, 0.749, 0.555], [0.146, 0.751, 0.055], [0.193, 0.597, 0.385], [0.193, 0.903, 0.885], [0.307, 0.097, 0.385], [0.307, 0.403, 0.885], [0.354, 0.249, 0.555], [0.354, 0.251, 0.055], [0.356, 0.554, 0.704], [0.356, 0.946, 0.204], [0.644, 0.054, 0.796], [0.644, 0.446, 0.296], [0.646, 0.749, 0.945], [0.646, 0.751, 0.445], [0.693, 0.597, 0.115], [0.693, 0.903, 0.615], [0.807, 0.097, 0.115], [0.807, 0.403, 0.615], [0.854, 0.249, 0.945], [0.854, 0.251, 0.445], [0.856, 0.554, 0.796], [0.856, 0.946, 0.296], [0.063, 0.616, 0.534], [0.063, 0.884, 0.034], [0.080, 0.590, 0.224], [0.080, 0.910, 0.724], [0.082, 0.607, 0.030], [0.082, 0.893, 0.530], [0.089, 0.091, 0.649], [0.089, 0.409, 0.149], [0.094, 0.696, 0.418], [0.094, 0.804, 0.918], [0.095, 0.180, 0.742], [0.095, 0.320, 0.242], [0.095, 0.517, 0.345], [0.095, 0.983, 0.845], [0.137, 0.740, 0.114], [0.137, 0.760, 0.614], [0.188, 0.543, 0.705], [0.188, 0.957, 0.205], [0.190, 0.182, 0.356], [0.190, 0.318, 0.856], [0.193, 0.240, 0.537], [0.193, 0.260, 0.037], [0.236, 0.514, 0.924], [0.236, 0.986, 0.424], [0.264, 0.014, 0.924], [0.264, 0.486, 0.424], [0.307, 0.740, 0.537], [0.307, 0.760, 0.037], [0.310, 0.682, 0.356], [0.310, 0.818, 0.856], [0.312, 0.043, 0.705], [0.312, 0.457, 0.205], [0.363, 0.240, 0.114], [0.363, 0.260, 0.614], [0.405, 0.017, 0.345], [0.405, 0.483, 0.845], [0.405, 0.680, 0.742], [0.405, 0.820, 0.242], [0.406, 0.196, 0.418], [0.406, 0.304, 0.918], [0.411, 0.591, 0.649], [0.411, 0.909, 0.149], [0.418, 0.107, 0.030], [0.418, 0.393, 0.530], [0.420, 0.090, 0.224], [0.420, 0.410, 0.724], [0.437, 0.116, 0.534], [0.437, 0.384, 0.034], [0.563, 0.616, 0.966], [0.563, 0.884, 0.466], [0.580, 0.590, 0.276], [0.580, 0.910, 0.776], [0.582, 0.607, 0.470], [0.582, 0.893, 0.970], [0.589, 0.091, 0.851], [0.589, 0.409, 0.351], [0.594, 0.696, 0.082], [0.594, 0.804, 0.582], [0.595, 0.180, 0.758], [0.595, 0.320, 0.258], [0.595, 0.517, 0.155], [0.595, 0.983, 0.655], [0.637, 0.740, 0.386], [0.637, 0.760, 0.886], [0.688, 0.543, 0.795], [0.688, 0.957, 0.295], [0.690, 0.182, 0.144], [0.690, 0.318, 0.644], [0.693, 0.240, 0.963], [0.693, 0.260, 0.463], [0.736, 0.514, 0.576], [0.736, 0.986, 0.076], [0.764, 0.014, 0.576], [0.764, 0.486, 0.076], [0.807, 0.740, 0.963], [0.807, 0.760, 0.463], [0.810, 0.682, 0.144], [0.810, 0.818, 0.644], [0.812, 0.043, 0.795], [0.812, 0.457, 0.295], [0.863, 0.240, 0.386], [0.863, 0.260, 0.886], [0.905, 0.017, 0.155], [0.905, 0.483, 0.655], [0.905, 0.680, 0.758], [0.905, 0.820, 0.258], [0.906, 0.196, 0.082], [0.906, 0.304, 0.582], [0.911, 0.591, 0.851], [0.911, 0.909, 0.351], [0.918, 0.107, 0.470], [0.918, 0.393, 0.970], [0.920, 0.090, 0.276], [0.920, 0.410, 0.776], [0.937, 0.116, 0.966], [0.937, 0.384, 0.466]],
  "spacegroup": "Pbca, No. 61",
  "mass_density_g_cm3": 2.79,
  "total_energy_ha_per_atom": -0.2361,
  "formation_enthalpy_0k_ev_per_atom": -2.07
}